1.
Density functional theory data (r²SCAN) for a relaxed structure of Yb2MgTl.

abc: 5.2239 5.2239 5.2239
angles: 60.00 60.00 60.00
Element x y z (fractional)
Mg: 0.5000 0.5000 0.5000
Tl: 0.0000 0.0000 0.0000
Yb: 0.7500 0.7500 0.7500
Yb: 0.2500 0.2500 0.2500

Properties
- calculated formation energy (eV/atom) = -0.246
- total magnetic moment (μB/f.u.) = 0.02
- space-group type = Fm-3m (225)


2.
Density functional theory data (r²SCAN) for a relaxed structure of Ti3SnH.

abc: 4.1661 4.1667 4.1650
angles: 90.00 90.00 90.00
Element x y z (fractional)
Sn: 0.0000 0.0000 0.0000
Ti: 0.5000 0.0000 0.5000
Ti: 0.0000 0.5000 0.5000
Ti: 0.5000 0.5000 0.0000
H: 0.5000 0.5000 0.5000

Properties
- calculated formation energy (eV/atom) = -0.434
- total magnetic moment (μB/f.u.) = 1.17
- space-group type = Pm-3m (221)


3.
Density functional theory data (r²SCAN) for a relaxed structure of La2BiN.

abc: 4.8341 4.8341 9.5623
angles: 90.00 90.00 90.00
Element x y z (fractional)
Bi: 0.5000 0.0000 0.6988
Bi: 0.0000 0.5000 0.3012
La: 0.0000 0.0000 0.0000
La: 0.5000 0.0000 0.3248
La: 0.0000 0.5000 0.6752
La: 0.5000 0.5000 0.0000
N: 0.0000 0.5000 0.9124
N: 0.5000 0.0000 0.0876

Properties
- calculated formation energy (eV/atom) = -1.511
- total magnetic moment (μB/f.u.) = 0.00
- space-group type = P4/nmm (129)


4.
Density functional theory data (r²SCAN) for a relaxed structure of LiZr2Ir.

abc: 4.6600 4.6600 4.6600
angles: 60.00 60.00 60.00
Element x y z (fractional)
Zr: 0.7500 0.7500 0.7500
Zr: 0.2500 0.2500 0.2500
Ir: 0.5000 0.5000 0.5000
Li: 0.0000 0.0000 0.0000

Properties
- calculated formation energy (eV/atom) = -0.552
- total magnetic moment (μB/f.u.) = 0.00
- space-group type = Fm-3m (225)


5.
Density functional theory data (r²SCAN) for a relaxed structure of SrAcZn2.

abc: 5.5030 5.5030 5.5030
angles: 60.00 60.00 60.00
Element x y z (fractional)
Sr: 0.7500 0.7500 0.7500
Ac: 0.2500 0.2500 0.2500
Zn: 0.0000 0.0000 0.0000
Zn: 0.5000 0.5000 0.5000

Properties
- calculated formation energy (eV/atom) = -0.215
- total magnetic moment (μB/f.u.) = 0.00
- space-group type = Fm-3m (225)


6.
Density functional theory data (r²SCAN) for a relaxed structure of PrScGe.

abc: 8.6237 8.6237 8.6237
angles: 150.87 150.87 41.67
Element x y z (fractional)
Ge: 0.1209 0.1209 0.0000
Ge: 0.8791 0.8791 0.0000
Pr: 0.6771 0.6771 0.0000
Pr: 0.3229 0.3229 0.0000
Sc: 0.0000 0.5000 0.5000
Sc: 0.5000 0.0000 0.5000

Properties
- calculated formation energy (eV/atom) = -0.819
- total magnetic moment (μB/f.u.) = 1.02
- space-group type = I4/mmm (139)